First-principles (PBE) data for crystalline Th3Cr at its relaxed geometry, as listed in the Materials Project.

Summary:
Mass density in Mg/m³: 10.91
SG: No. 194
Energy of formation from the pure elements in meV per atom: 378

a = 6.9255 Å, b = 6.9255 Å, c = 5.4814 Å
α = 90.00°, β = 90.00°, γ = 120.00°
Positions (direct):
Th 0.1759 0.3518 0.2500
Th 0.1759 0.8241 0.2500
Th 0.3518 0.1759 0.7500
Th 0.6482 0.8241 0.2500
Th 0.8241 0.1759 0.7500
Th 0.8241 0.6482 0.7500
Cr 0.3333 0.6667 0.7500
Cr 0.6667 0.3333 0.2500

---

First-principles (PBE) data for crystalline Ti4Cr at its relaxed geometry, as listed in the Materials Project.

Summary:
Mass density in Mg/m³: 5.06
SG: No. 69
Energy of formation from the pure elements in meV per atom: 92
Offset from the most stable computed form in eV/atom: 0.000

a = 11.3493 Å, b = 11.2092 Å, c = 2.8040 Å
α = 85.71°, β = 80.03°, γ = 14.26°
Positions (direct):
Ti 0.0862 0.0862 0.9138
Ti 0.3034 0.3034 0.6966
Ti 0.6966 0.6966 0.3034
Ti 0.9138 0.9138 0.0862
Cr 0.5000 0.5000 0.5000

---

First-principles (PBE) data for crystalline Ti4Cr at its relaxed geometry, as listed in the Materials Project.

Summary:
Mass density in Mg/m³: 4.55
SG: No. 227
Energy of formation from the pure elements in meV per atom: 776
Offset from the most stable computed form in eV/atom: 0.685

a = 6.3109 Å, b = 6.3109 Å, c = 6.3109 Å
α = 60.00°, β = 60.00°, γ = 60.00°
Positions (direct):
Ti 0.1962 0.7679 0.7679
Ti 0.2321 0.2321 0.2321
Ti 0.2321 0.2321 0.8038
Ti 0.2321 0.8038 0.2321
Ti 0.7679 0.1962 0.7679
Ti 0.7679 0.7679 0.1962
Ti 0.7679 0.7679 0.7679
Ti 0.8038 0.2321 0.2321
Cr 0.3750 0.3750 0.3750
Cr 0.6250 0.6250 0.6250

---

First-principles (PBE) data for crystalline ZrTiCr4 at its relaxed geometry, as listed in the Materials Project.

Summary:
Mass density in Mg/m³: 6.68
SG: No. 216
Energy of formation from the pure elements in meV per atom: -56
Offset from the most stable computed form in eV/atom: 0.000

a = 4.9607 Å, b = 4.9607 Å, c = 4.9607 Å
α = 60.00°, β = 60.00°, γ = 60.00°
Positions (direct):
Zr 0.0000 0.0000 0.0000
Ti 0.7500 0.7500 0.7500
Cr 0.3752 0.3752 0.3752
Cr 0.3752 0.3752 0.8745
Cr 0.3752 0.8745 0.3752
Cr 0.8745 0.3752 0.3752

---

First-principles (PBE) data for crystalline ZrTiCr4 at its relaxed geometry, as listed in the Materials Project.

Summary:
Mass density in Mg/m³: 6.69
SG: No. 164
Energy of formation from the pure elements in meV per atom: -39
Offset from the most stable computed form in eV/atom: 0.016

a = 5.0008 Å, b = 5.0008 Å, c = 7.9520 Å
α = 90.00°, β = 90.00°, γ = 120.00°
Positions (direct):
Zr 0.3333 0.6667 0.0649
Zr 0.6667 0.3333 0.9351
Ti 0.3333 0.6667 0.4440
Ti 0.6667 0.3333 0.5560
Cr 0.0000 0.0000 0.0000
Cr 0.0000 0.0000 0.5000
Cr 0.1691 0.3382 0.7406
Cr 0.1691 0.8309 0.7406
Cr 0.3382 0.1691 0.2594
Cr 0.6618 0.8309 0.7406
Cr 0.8309 0.1691 0.2594
Cr 0.8309 0.6618 0.2594

---

First-principles (PBE) data for crystalline Tl3Cr at its relaxed geometry, as listed in the Materials Project.

Summary:
Mass density in Mg/m³: 10.40
SG: No. 194
Energy of formation from the pure elements in meV per atom: 450

a = 6.7042 Å, b = 6.7042 Å, c = 5.4563 Å
α = 90.00°, β = 90.00°, γ = 120.00°
Positions (direct):
Tl 0.1705 0.3410 0.2500
Tl 0.1705 0.8295 0.2500
Tl 0.3410 0.1705 0.7500
Tl 0.6590 0.8295 0.2500
Tl 0.8295 0.1705 0.7500
Tl 0.8295 0.6590 0.7500
Cr 0.3333 0.6667 0.7500
Cr 0.6667 0.3333 0.2500

---

First-principles (PBE) data for crystalline VCr3 at its relaxed geometry, as listed in the Materials Project.

Summary:
Mass density in Mg/m³: 7.20
SG: No. 225
Energy of formation from the pure elements in meV per atom: -54

a = 4.0723 Å, b = 4.0723 Å, c = 4.0723 Å
α = 60.00°, β = 60.00°, γ = 60.00°
Positions (direct):
V 0.0000 0.0000 0.0000
Cr 0.2500 0.2500 0.2500
Cr 0.5000 0.5000 0.5000
Cr 0.7500 0.7500 0.7500

---

First-principles (PBE) data for crystalline CrW at its relaxed geometry, as listed in the Materials Project.

Summary:
Mass density in Mg/m³: 13.86
SG: No. 65
Energy of formation from the pure elements in meV per atom: 121

a = 2.6719 Å, b = 2.6719 Å, c = 4.2181 Å
α = 90.00°, β = 90.00°, γ = 110.19°
Positions (direct):
Cr 0.0000 0.0000 0.0000
W 0.5000 0.5000 0.5000

---

First-principles (PBE) data for crystalline Zn3Cr at its relaxed geometry, as listed in the Materials Project.

Summary:
Mass density in Mg/m³: 7.65
SG: No. 221
Energy of formation from the pure elements in meV per atom: 97

a = 3.7778 Å, b = 3.7778 Å, c = 3.7778 Å
α = 90.00°, β = 90.00°, γ = 90.00°
Positions (direct):
Zn 0.0000 0.0000 0.5000
Zn 0.0000 0.5000 0.0000
Zn 0.5000 0.0000 0.0000
Cr 0.5000 0.5000 0.5000

---

First-principles (PBE) data for crystalline ZnCr3 at its relaxed geometry, as listed in the Materials Project.

Summary:
Mass density in Mg/m³: 7.03
SG: No. 225
Energy of formation from the pure elements in meV per atom: 233

a = 4.1967 Å, b = 4.1967 Å, c = 4.1967 Å
α = 60.00°, β = 60.00°, γ = 60.00°
Positions (direct):
Zn 0.0000 0.0000 0.0000
Cr 0.2500 0.2500 0.2500
Cr 0.5000 0.5000 0.5000
Cr 0.7500 0.7500 0.7500

---

First-principles (PBE) data for crystalline CsDy2Cu3S5 at its relaxed geometry, as listed in the Materials Project.

Summary:
Mass density in Mg/m³: 5.68
MP2020-corrected energy in eV/atom: -5.38
SG: No. 63
Energy of formation from the pure elements in meV per atom: -1461

a = 7.3187 Å, b = 7.3187 Å, c = 16.8866 Å
α = 90.00°, β = 90.00°, γ = 148.46°
Positions (direct):
Cs 0.0648 0.9352 0.7500
Cs 0.9352 0.0648 0.2500
Dy 0.1922 0.8078 0.0910
Dy 0.1922 0.8078 0.4090
Dy 0.8078 0.1922 0.5910
Dy 0.8078 0.1922 0.9090
Cu 0.3429 0.6571 0.7500
Cu 0.4163 0.5837 0.0360
Cu 0.4163 0.5837 0.4640
Cu 0.5837 0.4163 0.5360
Cu 0.5837 0.4163 0.9640
Cu 0.6571 0.3429 0.2500
S 0.1699 0.8301 0.5684
S 0.1699 0.8301 0.9316
S 0.2293 0.7707 0.2500
S 0.4380 0.5620 0.6071
S 0.4380 0.5620 0.8929
S 0.5620 0.4380 0.1071
S 0.5620 0.4380 0.3929
S 0.7707 0.2293 0.7500
S 0.8301 0.1699 0.0684
S 0.8301 0.1699 0.4316

---

First-principles (PBE) data for crystalline CsEr2Cu3S5 at its relaxed geometry, as listed in the Materials Project.

Summary:
Mass density in Mg/m³: 5.87
MP2020-corrected energy in eV/atom: -5.37
SG: No. 63
Energy of formation from the pure elements in meV per atom: -1460

a = 7.2979 Å, b = 7.2979 Å, c = 16.7025 Å
α = 90.00°, β = 90.00°, γ = 148.63°
Positions (direct):
Cs 0.0638 0.9362 0.7500
Cs 0.9362 0.0638 0.2500
Er 0.1921 0.8079 0.0918
Er 0.1921 0.8079 0.4082
Er 0.8079 0.1921 0.5918
Er 0.8079 0.1921 0.9082
Cu 0.3439 0.6561 0.7500
Cu 0.4157 0.5843 0.0361
Cu 0.4157 0.5843 0.4639
Cu 0.5843 0.4157 0.5361
Cu 0.5843 0.4157 0.9639
Cu 0.6561 0.3439 0.2500
S 0.1702 0.8298 0.5682
S 0.1702 0.8298 0.9318
S 0.2316 0.7684 0.2500
S 0.4372 0.5628 0.6085
S 0.4372 0.5628 0.8915
S 0.5628 0.4372 0.1085
S 0.5628 0.4372 0.3915
S 0.7684 0.2316 0.7500
S 0.8298 0.1702 0.0682
S 0.8298 0.1702 0.4318

---

First-principles (PBE) data for crystalline CsEr2Cu3Se5 at its relaxed geometry, as listed in the Materials Project.

Summary:
Mass density in Mg/m³: 6.69
MP2020-corrected energy in eV/atom: -4.94
SG: No. 63
Energy of formation from the pure elements in meV per atom: -1318
Offset from the most stable computed form in eV/atom: 0.000

a = 7.6336 Å, b = 7.6336 Å, c = 17.2730 Å
α = 90.00°, β = 90.00°, γ = 148.70°
Positions (direct):
Cs 0.0612 0.9388 0.7500
Cs 0.9388 0.0612 0.2500
Er 0.1920 0.8080 0.0915
Er 0.1920 0.8080 0.4085
Er 0.8080 0.1920 0.5915
Er 0.8080 0.1920 0.9085
Cu 0.3444 0.6556 0.7500
Cu 0.4168 0.5832 0.0332
Cu 0.4168 0.5832 0.4668
Cu 0.5832 0.4168 0.5332
Cu 0.5832 0.4168 0.9668
Cu 0.6556 0.3444 0.2500
Se 0.1693 0.8307 0.5702
Se 0.1693 0.8307 0.9298
Se 0.2381 0.7619 0.2500
Se 0.4380 0.5620 0.6121
Se 0.4380 0.5620 0.8879
Se 0.5620 0.4380 0.1121
Se 0.5620 0.4380 0.3879
Se 0.7619 0.2381 0.7500
Se 0.8307 0.1693 0.0702
Se 0.8307 0.1693 0.4298

---

First-principles (PBE) data for crystalline CsEr2Cu3Se5 at its relaxed geometry, as listed in the Materials Project.

Summary:
Mass density in Mg/m³: 6.69
MP2020-corrected energy in eV/atom: -4.93
SG: No. 1
Energy of formation from the pure elements in meV per atom: -1314
Offset from the most stable computed form in eV/atom: 0.004

a = 4.1183 Å, b = 7.6336 Å, c = 17.2730 Å
α = 90.00°, β = 90.00°, γ = 105.65°
Positions (direct):
Cs 0.0000 0.0000 0.0000
Cs 0.1131 0.2434 0.4994
Er 0.2415 0.5153 0.1574
Er 0.2438 0.5100 0.8444
Er 0.8563 0.7402 0.3438
Er 0.8704 0.7414 0.6609
Cu 0.4048 0.8194 0.4977
Cu 0.4744 0.9656 0.7856
Cu 0.4772 0.9653 0.2148
Cu 0.6337 0.2989 0.7177
Cu 0.6377 0.2873 0.2835
Cu 0.7059 0.4367 0.0027
Se 0.2259 0.4609 0.6816
Se 0.2336 0.4725 0.3204
Se 0.3068 0.6063 0.0001
Se 0.4882 0.9999 0.3646
Se 0.5031 0.0077 0.6397
Se 0.6194 0.2526 0.8595
Se 0.6258 0.2479 0.1372
Se 0.8138 0.6466 0.5022
Se 0.8960 0.7919 0.1818
Se 0.8987 0.7887 0.8201

---

First-principles (PBE) data for crystalline CsCu2F5 at its relaxed geometry, as listed in the Materials Project.

Summary:
Mass density in Mg/m³: 4.52
MP2020-corrected energy in eV/atom: -4.51
SG: No. 14
Energy of formation from the pure elements in meV per atom: -2172

a = 7.2254 Å, b = 7.4681 Å, c = 11.5092 Å
α = 90.00°, β = 122.94°, γ = 90.00°
Positions (direct):
Cs 0.1231 0.0200 0.3786
Cs 0.1231 0.4800 0.8786
Cs 0.8769 0.5200 0.1214
Cs 0.8769 0.9800 0.6214
Cu 0.0000 0.0000 0.0000
Cu 0.0000 0.5000 0.5000
Cu 0.4958 0.2355 0.7582
Cu 0.4958 0.2645 0.2582
Cu 0.5000 0.0000 0.0000
Cu 0.5000 0.5000 0.5000
Cu 0.5042 0.7355 0.7418
Cu 0.5042 0.7645 0.2418
F 0.1899 0.0199 0.9288
F 0.1899 0.4801 0.4288
F 0.1907 0.2100 0.1453
F 0.1907 0.2900 0.6453
F 0.1981 0.6788 0.6455
F 0.1981 0.8212 0.1455
F 0.4247 0.5171 0.2423
F 0.4247 0.9829 0.7423
F 0.4877 0.7464 0.5287
F 0.4877 0.7536 0.0287
F 0.5123 0.2464 0.9713
F 0.5123 0.2536 0.4713
F 0.5753 0.0171 0.2577
F 0.5753 0.4829 0.7577
F 0.8019 0.1788 0.8545
F 0.8019 0.3212 0.3545
F 0.8093 0.7100 0.3547
F 0.8093 0.7900 0.8547
F 0.8101 0.5199 0.5712
F 0.8101 0.9801 0.0712

---

First-principles (PBE) data for crystalline Cs2CuF4 at its relaxed geometry, as listed in the Materials Project.

Summary:
Mass density in Mg/m³: 4.92
MP2020-corrected energy in eV/atom: -4.42
SG: No. 139
Energy of formation from the pure elements in meV per atom: -2485

a = 7.8080 Å, b = 7.8080 Å, c = 7.8080 Å
α = 147.52°, β = 147.52°, γ = 46.59°
Positions (direct):
Cs 0.1449 0.1449 0.0000
Cs 0.8551 0.8551 0.0000
Cu 0.5000 0.5000 0.0000
F 0.0000 0.5000 0.5000
F 0.3644 0.3644 0.0000
F 0.5000 0.0000 0.5000
F 0.6356 0.6356 0.0000

---

First-principles (PBE) data for crystalline Cs7Cu6F19 at its relaxed geometry, as listed in the Materials Project.

Summary:
Mass density in Mg/m³: 4.69
MP2020-corrected energy in eV/atom: -4.47
SG: No. 14
Energy of formation from the pure elements in meV per atom: -2367

a = 11.6239 Å, b = 6.3481 Å, c = 16.1769 Å
α = 90.00°, β = 96.80°, γ = 90.00°
Positions (direct):
Cs 0.0000 0.0000 0.0000
Cs 0.0000 0.5000 0.5000
Cs 0.0927 0.0098 0.7059
Cs 0.0927 0.4902 0.2059
Cs 0.3416 0.5007 0.4332
Cs 0.3416 0.9993 0.9332
Cs 0.4452 0.0077 0.6505
Cs 0.4452 0.4923 0.1505
Cs 0.5548 0.5077 0.8495
Cs 0.5548 0.9923 0.3495
Cs 0.6584 0.0007 0.0668
Cs 0.6584 0.4993 0.5668
Cs 0.9073 0.5098 0.7941
Cs 0.9073 0.9902 0.2941
Cu 0.1730 0.0029 0.4869
Cu 0.1730 0.4971 0.9869
Cu 0.2287 0.5035 0.8212
Cu 0.2287 0.9965 0.3212
Cu 0.2673 0.5064 0.6519
Cu 0.2673 0.9936 0.1519
Cu 0.7327 0.0064 0.8481
Cu 0.7327 0.4936 0.3481
Cu 0.7713 0.0035 0.6788
Cu 0.7713 0.4965 0.1788
Cu 0.8270 0.5029 0.0131
Cu 0.8270 0.9971 0.5131
F 0.0000 0.0000 0.5000
F 0.0000 0.5000 0.0000
F 0.1160 0.5022 0.6887
F 0.1160 0.9978 0.1887
F 0.1405 0.1912 0.3883
F 0.1405 0.3088 0.8883
F 0.1431 0.7268 0.8640
F 0.1431 0.7732 0.3640
F 0.2088 0.7118 0.0684
F 0.2088 0.7882 0.5684
F 0.2230 0.2228 0.0741
F 0.2230 0.2772 0.5741
F 0.3129 0.6983 0.7530
F 0.3129 0.8017 0.2530
F 0.3136 0.2217 0.2793
F 0.3136 0.2783 0.7793
F 0.3341 0.5034 0.9591
F 0.3341 0.9966 0.4591
F 0.4211 0.5106 0.6229
F 0.4211 0.9894 0.1229
F 0.5789 0.0106 0.8771
F 0.5789 0.4894 0.3771
F 0.6659 0.0034 0.5409
F 0.6659 0.4966 0.0409
F 0.6864 0.7217 0.2207
F 0.6864 0.7783 0.7207
F 0.6871 0.1983 0.7470
F 0.6871 0.3017 0.2470
F 0.7770 0.7228 0.4259
F 0.7770 0.7772 0.9259
F 0.7912 0.2118 0.4316
F 0.7912 0.2882 0.9316
F 0.8569 0.2268 0.6360
F 0.8569 0.2732 0.1360
F 0.8595 0.6912 0.1117
F 0.8595 0.8088 0.6117
F 0.8840 0.0022 0.8113
F 0.8840 0.4978 0.3113

---

First-principles (PBE) data for crystalline CsGaCuF6 at its relaxed geometry, as listed in the Materials Project.

Summary:
Mass density in Mg/m³: 4.42
MP2020-corrected energy in eV/atom: -4.81
SG: No. 74
Energy of formation from the pure elements in meV per atom: -2639

a = 7.4098 Å, b = 7.4098 Å, c = 7.4098 Å
α = 121.11°, β = 119.87°, γ = 89.16°
Positions (direct):
Cs 0.3725 0.1225 0.2500
Cs 0.6275 0.8775 0.7500
Ga 0.0000 0.5000 0.5000
Ga 0.5000 0.5000 0.0000
Cu 0.0000 0.0000 0.5000
Cu 0.0000 0.5000 0.0000
F 0.0687 0.8187 0.2500
F 0.0708 0.4320 0.2633
F 0.0708 0.8075 0.6388
F 0.3130 0.5630 0.7500
F 0.3313 0.1925 0.7633
F 0.3313 0.5680 0.1388
F 0.6687 0.4320 0.8612
F 0.6687 0.8075 0.2367
F 0.6870 0.4370 0.2500
F 0.9292 0.1925 0.3612
F 0.9292 0.5680 0.7367
F 0.9313 0.1813 0.7500